## Tm4MgNi (r2SCAN)

Data for Tm4MgNi after structural relaxation.

Summary:
total magnetization: 0.04 Bohr magnetons per cell
calculated formation energy: -0.214 eV per atom

Unit cell a=9.4563 b=9.4563 c=9.4563 alpha=60.00 beta=60.00 gamma=60.00
Fractional coordinates of all 24 atoms:
Tm: 0.5955 0.5955 0.5955
Tm: 0.5955 0.5955 0.2135
Tm: 0.5955 0.2135 0.5955
Tm: 0.2135 0.5955 0.5955
Tm: 0.0629 0.4371 0.4371
Tm: 0.4371 0.0629 0.0629
Tm: 0.4371 0.0629 0.4371
Tm: 0.0629 0.4371 0.0629
Tm: 0.4371 0.4371 0.0629
Tm: 0.0629 0.0629 0.4371
Tm: 0.1863 0.8137 0.8137
Tm: 0.8137 0.1863 0.1863
Tm: 0.8137 0.1863 0.8137
Tm: 0.1863 0.8137 0.1863
Tm: 0.8137 0.8137 0.1863
Tm: 0.1863 0.1863 0.8137
Mg: 0.8289 0.8289 0.8289
Mg: 0.8289 0.8289 0.5132
Mg: 0.8289 0.5132 0.8289
Mg: 0.5132 0.8289 0.8289
Ni: 0.3918 0.3918 0.3918
Ni: 0.3918 0.3918 0.8245
Ni: 0.3918 0.8245 0.3918
Ni: 0.8245 0.3918 0.3918

## Y2MgNi2 (r2SCAN)

Data for Y2MgNi2 after structural relaxation.

Summary:
total magnetization: 0.00 Bohr magnetons per cell
calculated formation energy: -0.314 eV per atom

Unit cell a=7.3361 b=7.3361 c=3.7459 alpha=90.00 beta=90.00 gamma=90.00
Fractional coordinates of all 10 atoms:
Y: 0.1753 0.6753 0.5000
Y: 0.6753 0.8247 0.5000
Y: 0.3247 0.1753 0.5000
Y: 0.8247 0.3247 0.5000
Mg: 0.5000 0.5000 0.0000
Mg: 0.0000 0.0000 0.0000
Ni: 0.8835 0.6165 0.0000
Ni: 0.3835 0.8835 0.0000
Ni: 0.6165 0.1165 0.0000
Ni: 0.1165 0.3835 0.0000

## Y4MgNi (r2SCAN)

Data for Y4MgNi after structural relaxation.

Summary:
total magnetization: 0.05 Bohr magnetons per cell
calculated formation energy: -0.174 eV per atom

Unit cell a=9.6797 b=9.6796 c=9.6797 alpha=60.00 beta=60.00 gamma=60.00
Fractional coordinates of all 24 atoms:
Y: 0.0621 0.4378 0.4379
Y: 0.4379 0.0622 0.0621
Y: 0.4378 0.0622 0.4378
Y: 0.0621 0.4378 0.0621
Y: 0.4379 0.4378 0.0621
Y: 0.0622 0.0622 0.4379
Y: 0.1859 0.8140 0.8140
Y: 0.8140 0.1860 0.1859
Y: 0.8140 0.1860 0.8140
Y: 0.1860 0.8140 0.1860
Y: 0.8140 0.8140 0.1859
Y: 0.1859 0.1860 0.8140
Y: 0.5960 0.5960 0.5960
Y: 0.5960 0.5960 0.2119
Y: 0.5960 0.2119 0.5960
Y: 0.2119 0.5960 0.5960
Mg: 0.8291 0.8291 0.8291
Mg: 0.8291 0.8291 0.5128
Mg: 0.8291 0.5128 0.8291
Mg: 0.5128 0.8291 0.8291
Ni: 0.3919 0.3919 0.3919
Ni: 0.3919 0.3918 0.8245
Ni: 0.3919 0.8244 0.3919
Ni: 0.8244 0.3919 0.3919

## MgZrNi2 (r2SCAN)

Data for MgZrNi2 after structural relaxation.

Summary:
total magnetization: 0.00 Bohr magnetons per cell
calculated formation energy: -0.303 eV per atom

Unit cell a=4.3878 b=4.3878 c=4.3878 alpha=60.00 beta=60.00 gamma=60.00
Fractional coordinates of all 4 atoms:
Mg: 0.5000 0.5000 0.5000
Zr: 0.0000 0.0000 0.0000
Ni: 0.2500 0.2500 0.2500
Ni: 0.7500 0.7500 0.7500

## Mg3P2O8 (r2SCAN)

Data for Mg3P2O8 after structural relaxation.

Summary:
total magnetization: 0.00 Bohr magnetons per cell
calculated formation energy: -2.882 eV per atom
energy above the lowest structure with this stoichiometry: 2.5 meV/atom

Unit cell a=4.7260 b=5.8897 c=10.1948 alpha=89.20 beta=90.00 gamma=90.00
Fractional coordinates of all 26 atoms:
Mg: 0.5125 0.7624 0.7777
Mg: 0.0125 0.2376 0.7223
Mg: 0.9875 0.7624 0.2777
Mg: 0.0000 0.5000 0.0000
Mg: 0.4875 0.2376 0.2223
Mg: 0.5000 0.5000 0.5000
P: 0.9247 0.2559 0.4030
P: 0.4247 0.7441 0.0970
P: 0.0753 0.7441 0.5970
P: 0.5753 0.2559 0.9030
O: 0.7456 0.7250 0.1042
O: 0.6873 0.2552 0.0443
O: 0.2544 0.2750 0.8958
O: 0.2297 0.5320 0.6612
O: 0.8091 0.0592 0.3230
O: 0.6909 0.0592 0.8230
O: 0.3091 0.9408 0.1770
O: 0.3127 0.7448 0.9557
O: 0.1873 0.7448 0.4557
O: 0.1909 0.9408 0.6770
O: 0.2703 0.5320 0.1612
O: 0.2456 0.2750 0.3958
O: 0.7297 0.4680 0.8388
O: 0.7703 0.4680 0.3388
O: 0.7544 0.7250 0.6042
O: 0.8127 0.2552 0.5443

## Mg3P2O8 (r2SCAN)

Data for Mg3P2O8 after structural relaxation.

Summary:
total magnetization: 0.00 Bohr magnetons per cell
calculated formation energy: -2.884 eV per atom
energy above the lowest structure with this stoichiometry: 0.0 meV/atom

Unit cell a=8.1909 b=5.0798 c=8.8338 alpha=59.00 beta=90.00 gamma=90.00
Fractional coordinates of all 26 atoms:
Mg: 0.8566 0.5120 0.3912
Mg: 0.3566 0.4880 0.1088
Mg: 0.1434 0.4880 0.6088
Mg: 0.6434 0.5120 0.8912
Mg: 0.5000 0.5000 0.5000
Mg: 0.0000 0.5000 0.0000
P: 0.8048 0.1632 0.8007
P: 0.3048 0.8368 0.6993
P: 0.1952 0.8368 0.1993
P: 0.6952 0.1632 0.3007
O: 0.5753 0.3071 0.1448
O: 0.0753 0.6929 0.3552
O: 0.4247 0.6929 0.8552
O: 0.9247 0.3071 0.6448
O: 0.8646 0.3173 0.2388
O: 0.3646 0.6827 0.2612
O: 0.1354 0.6827 0.7612
O: 0.6354 0.3173 0.7388
O: 0.6991 0.8172 0.3764
O: 0.1991 0.1828 0.1236
O: 0.8552 0.2396 0.9410
O: 0.3552 0.7604 0.5590
O: 0.1448 0.7604 0.0590
O: 0.6448 0.2396 0.4410
O: 0.8009 0.8172 0.8764
O: 0.3009 0.1828 0.6236

## Sr2MgZn2Sn2P4O16 (r2SCAN)

Data for Sr2MgZn2Sn2P4O16 after structural relaxation.

Summary:
total magnetization: 0.00 Bohr magnetons per cell
calculated formation energy: -2.385 eV per atom

Unit cell a=6.0817 b=7.3547 c=9.3223 alpha=111.22 beta=105.20 gamma=88.99
Fractional coordinates of all 27 atoms:
Sr: 0.1154 0.7604 0.9625
Sr: 0.8846 0.2396 0.0375
Mg: 0.5000 0.5000 0.0000
Zn: 0.9488 0.3557 0.5284
Zn: 0.0512 0.6443 0.4716
Sn: 0.6099 0.8600 0.5874
Sn: 0.3901 0.1400 0.4126
P: 0.3916 0.4564 0.2359
P: 0.6084 0.5436 0.7641
P: 0.7753 0.9098 0.2408
P: 0.2247 0.0902 0.7592
O: 0.7736 0.5031 0.9039
O: 0.6229 0.4346 0.2006
O: 0.7104 0.7353 0.7647
O: 0.0781 0.2072 0.6713
O: 0.3771 0.5654 0.7994
O: 0.2791 0.8926 0.6372
O: 0.7209 0.1074 0.3628
O: 0.0962 0.0310 0.8590
O: 0.2896 0.2647 0.2353
O: 0.9038 0.9690 0.1410
O: 0.2264 0.4969 0.0961
O: 0.3926 0.6155 0.3988
O: 0.6074 0.3845 0.6012
O: 0.5409 0.7990 0.1373
O: 0.9219 0.7928 0.3287
O: 0.4591 0.2010 0.8627

## PmMgO3 (r2SCAN)

Data for PmMgO3 after structural relaxation.

Summary:
total magnetization: 1.00 Bohr magnetons per cell
calculated formation energy: -2.691 eV per atom

Unit cell a=3.8568 b=3.8568 c=3.8568 alpha=90.00 beta=90.00 gamma=90.00
Fractional coordinates of all 5 atoms:
Pm: 0.0000 0.0000 0.0000
Mg: 0.5000 0.5000 0.5000
O: 0.5000 0.5000 0.0000
O: 0.5000 0.0000 0.5000
O: 0.0000 0.5000 0.5000

## MgS2O7 (r2SCAN)

Data for MgS2O7 after structural relaxation.

Summary:
total magnetization: 0.00 Bohr magnetons per cell
calculated formation energy: -1.816 eV per atom

Unit cell a=4.9019 b=6.9439 c=8.2145 alpha=92.42 beta=94.78 gamma=106.17
Fractional coordinates of all 20 atoms:
Mg: 0.0000 0.5000 0.0000
Mg: 0.5000 0.0000 0.5000
S: 0.5059 0.6459 0.7675
S: 0.4941 0.3541 0.2325
S: 0.1309 0.2505 0.6881
S: 0.8691 0.7495 0.3119
O: 0.7330 0.5605 0.8162
O: 0.2670 0.4395 0.1838
O: 0.3433 0.6812 0.8981
O: 0.6567 0.3188 0.1019
O: 0.5908 0.8111 0.6666
O: 0.4092 0.1889 0.3334
O: 0.2845 0.4781 0.6382
O: 0.7155 0.5219 0.3618
O: 0.8973 0.1914 0.5621
O: 0.1027 0.8086 0.4379
O: 0.3400 0.1418 0.6788
O: 0.6600 0.8582 0.3212
O: 0.0531 0.2709 0.8519
O: 0.9469 0.7291 0.1481

## MgSc2O4 (r2SCAN)

Data for MgSc2O4 after structural relaxation.

Summary:
total magnetization: 0.00 Bohr magnetons per cell
calculated formation energy: -3.564 eV per atom

Unit cell a=6.1980 b=6.1980 c=6.1980 alpha=60.00 beta=60.00 gamma=60.00
Fractional coordinates of all 14 atoms:
Mg: 0.2500 0.2500 0.2500
Mg: 0.0000 0.0000 0.0000
Sc: 0.1250 0.6250 0.6250
Sc: 0.6250 0.1250 0.6250
Sc: 0.6250 0.6250 0.1250
Sc: 0.6250 0.6250 0.6250
O: 0.8664 0.4009 0.8664
O: 0.8664 0.8664 0.4009
O: 0.4009 0.8664 0.8664
O: 0.8491 0.3836 0.3836
O: 0.3836 0.3836 0.8491
O: 0.3836 0.8491 0.3836
O: 0.8664 0.8664 0.8664
O: 0.3836 0.3836 0.3836

## MgSeO4 (r2SCAN)

Data for MgSeO4 after structural relaxation.

Summary:
total magnetization: 0.00 Bohr magnetons per cell
calculated formation energy: -1.572 eV per atom

Unit cell a=4.9175 b=4.9175 c=6.4851 alpha=90.00 beta=90.00 gamma=112.73
Fractional coordinates of all 12 atoms:
Mg: 0.0000 0.0000 0.0000
Mg: 0.0000 0.0000 0.5000
Se: 0.3527 0.6473 0.7500
Se: 0.6473 0.3527 0.2500
O: 0.2253 0.2788 0.7500
O: 0.7747 0.7212 0.2500
O: 0.2788 0.2253 0.2500
O: 0.7212 0.7747 0.7500
O: 0.2453 0.7547 0.9613
O: 0.7547 0.2453 0.4613
O: 0.7547 0.2453 0.0387
O: 0.2453 0.7547 0.5387

## Mg2SiO4 (r2SCAN)

Data for Mg2SiO4 after structural relaxation.

Summary:
total magnetization: 0.00 Bohr magnetons per cell
calculated formation energy: -3.096 eV per atom

Unit cell a=4.7509 b=5.9699 c=10.1829 alpha=90.00 beta=90.00 gamma=90.00
Fractional coordinates of all 28 atoms:
Mg: 0.0000 0.0000 0.0000
Mg: 0.5000 0.0000 0.5000
Mg: 0.0000 0.5000 0.0000
Mg: 0.5000 0.5000 0.5000
Mg: 0.0083 0.7500 0.7229
Mg: 0.5083 0.2500 0.7771
Mg: 0.9917 0.2500 0.2771
Mg: 0.4917 0.7500 0.2229
Si: 0.9263 0.7500 0.4061
Si: 0.4263 0.2500 0.0939
Si: 0.0737 0.2500 0.5939
Si: 0.5737 0.7500 0.9061
O: 0.2768 0.4677 0.1631
O: 0.7768 0.5323 0.3369
O: 0.7232 0.9677 0.8369
O: 0.2232 0.0323 0.6631
O: 0.7232 0.5323 0.8369
O: 0.2232 0.4677 0.6631
O: 0.2768 0.0323 0.1631
O: 0.7768 0.9677 0.3369
O: 0.7783 0.7500 0.5536
O: 0.2783 0.2500 0.9464
O: 0.2217 0.2500 0.4464
O: 0.7217 0.7500 0.0536
O: 0.2666 0.7500 0.4085
O: 0.7666 0.2500 0.0915
O: 0.7334 0.2500 0.5915
O: 0.2334 0.7500 0.9085

## Y2MgSnO6 (r2SCAN)

Data for Y2MgSnO6 after structural relaxation.

Summary:
total magnetization: 0.00 Bohr magnetons per cell
calculated formation energy: -2.715 eV per atom

Unit cell a=5.5345 b=5.5345 c=5.5345 alpha=60.00 beta=60.00 gamma=60.00
Fractional coordinates of all 10 atoms:
Y: 0.2500 0.2500 0.2500
Y: 0.7500 0.7500 0.7500
Mg: 0.0000 0.0000 0.0000
Sn: 0.5000 0.5000 0.5000
O: 0.7529 0.2471 0.2471
O: 0.2471 0.7529 0.7529
O: 0.2471 0.7529 0.2471
O: 0.7529 0.2471 0.7529
O: 0.2471 0.2471 0.7529
O: 0.7529 0.7529 0.2471

## Sr2MgTeO6 (r2SCAN)

Data for Sr2MgTeO6 after structural relaxation.

Summary:
total magnetization: 0.00 Bohr magnetons per cell
calculated formation energy: -2.576 eV per atom

Unit cell a=5.6021 b=5.6021 c=5.6308 alpha=59.76 beta=59.76 gamma=59.93
Fractional coordinates of all 10 atoms:
Sr: 0.2498 0.2498 0.7485
Sr: 0.7502 0.7502 0.2515
Mg: 0.0000 0.0000 0.5000
Te: 0.5000 0.5000 0.0000
O: 0.7405 0.7405 0.8047
O: 0.2595 0.2595 0.1953
O: 0.7178 0.2353 0.2630
O: 0.7647 0.2822 0.7370
O: 0.2822 0.7647 0.7370
O: 0.2353 0.7178 0.2630

## Mg2Te3O8 (r2SCAN)

Data for Mg2Te3O8 after structural relaxation.

Summary:
total magnetization: 0.00 Bohr magnetons per cell
calculated formation energy: -1.782 eV per atom

Unit cell a=6.8183 b=6.8183 c=11.5838 alpha=82.22 beta=82.22 gamma=45.01
Fractional coordinates of all 26 atoms:
Mg: 0.5756 0.9602 0.8525
Mg: 0.0398 0.4244 0.6475
Mg: 0.4244 0.0398 0.1475
Mg: 0.9602 0.5756 0.3525
Te: 0.1614 0.8386 0.7500
Te: 0.8386 0.1614 0.2500
Te: 0.9463 0.3256 0.9438
Te: 0.6744 0.0537 0.5562
Te: 0.0537 0.6744 0.0562
Te: 0.3256 0.9463 0.4438
O: 0.2537 0.2727 0.9733
O: 0.7273 0.7463 0.5267
O: 0.7463 0.7273 0.0267
O: 0.2727 0.2537 0.4733
O: 0.2469 0.9818 0.8639
O: 0.0182 0.7531 0.6361
O: 0.7531 0.0182 0.1361
O: 0.9818 0.2469 0.3639
O: 0.0155 0.1452 0.6469
O: 0.8548 0.9845 0.8531
O: 0.9845 0.8548 0.3531
O: 0.1452 0.0155 0.1469
O: 0.8440 0.5552 0.8075
O: 0.4448 0.1560 0.6925
O: 0.1560 0.4448 0.1925
O: 0.5552 0.8440 0.3075

## MgTeO4 (r2SCAN)

Data for MgTeO4 after structural relaxation.

Summary:
total magnetization: 0.00 Bohr magnetons per cell
calculated formation energy: -1.820 eV per atom

Unit cell a=4.6921 b=5.0303 c=5.5857 alpha=90.00 beta=90.00 gamma=93.12
Fractional coordinates of all 12 atoms:
Mg: 0.0000 0.7500 0.8469
Mg: 0.0000 0.2500 0.1531
Te: 0.5000 0.7500 0.3335
Te: 0.5000 0.2500 0.6665
O: 0.7598 0.4052 0.8776
O: 0.2402 0.5948 0.1224
O: 0.2402 0.0948 0.8776
O: 0.7598 0.9052 0.1224
O: 0.7180 0.9338 0.6045
O: 0.2820 0.0662 0.3955
O: 0.2820 0.5662 0.6045
O: 0.7180 0.4338 0.3955